# Li5Fe3Sb2O10 | the Materials Project database | GGA+U | relaxed
# - relative energy among the computed polymorphs (meV/atom) = 30
# - corrected total energy (MP2020 scheme) (eV/atom) = -6.535
# - raw total energy (eV per cell) = -117.06
# - formation energy (eV per atom) = -1.90
data_Li5Fe3Sb2O10
_chemical_formula_sum 'Li5 Fe3 Sb2 O10'
_space_group_name_H-M_alt 'P -1'
_space_group_IT_number 2
_space_group_name_Hall '-P 1'
_cell_length_a 5.3562
_cell_length_b 5.3650
_cell_length_c 8.2398
_cell_angle_alpha 108.09
_cell_angle_beta 102.60
_cell_angle_gamma 100.70
loop_
_atom_site_label
_atom_site_type_symbol
_atom_site_fract_x
_atom_site_fract_y
_atom_site_fract_z
Li1 Li 0.0000 0.0000 0.0000
Li2 Li 0.4964 0.8316 0.1017
Li3 Li 0.4967 0.3845 0.2954
Fe1 Fe 0.0011 0.8045 0.6024
Fe2 Fe 0.5000 0.0000 0.5000
Sb1 Sb 0.0101 0.4102 0.8003
O1 O 0.2190 0.4073 0.0463
O2 O 0.2362 0.5933 0.4356
O3 O 0.2371 0.2114 0.6568
O4 O 0.2446 0.7865 0.8437
O5 O 0.2461 0.9756 0.2590


# Li9Mn2Co5O16 | the Materials Project database | GGA+U | relaxed
# - relative energy among the computed polymorphs (meV/atom) = 80
# - corrected total energy (MP2020 scheme) (eV/atom) = -6.479
# - raw total energy (eV per cell) = -184.80
# - formation energy (eV per atom) = -1.78
data_Li9Mn2Co5O16
_chemical_formula_sum 'Li9 Mn2 Co5 O16'
_space_group_name_H-M_alt 'P 1'
_space_group_IT_number 1
_space_group_name_Hall 'P 1'
_cell_length_a 4.9742
_cell_length_b 5.9405
_cell_length_c 10.2539
_cell_angle_alpha 91.90
_cell_angle_beta 99.69
_cell_angle_gamma 103.55
loop_
_atom_site_label
_atom_site_type_symbol
_atom_site_fract_x
_atom_site_fract_y
_atom_site_fract_z
Li1 Li 0.0000 0.0000 0.0000
Li2 Li 0.0006 0.0064 0.5006
Li3 Li 0.0015 0.5021 0.5025
Li4 Li 0.4917 0.3757 0.6234
Li5 Li 0.4964 0.1251 0.8745
Li6 Li 0.4976 0.6192 0.3831
Li7 Li 0.5084 0.8871 0.1250
Li8 Li 0.9912 0.2495 0.7402
Li9 Li 0.9983 0.7584 0.2584
Mn1 Mn 0.9945 0.2465 0.2555
Mn2 Mn 0.9982 0.5030 0.0021
Co1 Co 0.0046 0.7551 0.7458
Co2 Co 0.4921 0.1204 0.3802
Co3 Co 0.5004 0.6330 0.8751
Co4 Co 0.4998 0.8896 0.6179
Co5 Co 0.5008 0.3766 0.1287
O1 O 0.2293 0.5659 0.6927
O2 O 0.2324 0.5270 0.1857
O3 O 0.2458 0.0709 0.2035
O4 O 0.2462 0.3066 0.4226
O5 O 0.2596 0.3312 0.9512
O6 O 0.2639 0.0407 0.6856
O7 O 0.2642 0.8113 0.9339
O8 O 0.2724 0.8237 0.4480
O9 O 0.7214 0.1826 0.5521
O10 O 0.7236 0.7057 0.5722
O11 O 0.7473 0.1982 0.0776
O12 O 0.7478 0.9250 0.8015
O13 O 0.7500 0.4357 0.3004
O14 O 0.7495 0.4559 0.8226
O15 O 0.7544 0.6802 0.0591
O16 O 0.7567 0.9804 0.3102


# Li5Fe2P2C2O14 | the Materials Project database | GGA+U | relaxed
# - relative energy among the computed polymorphs (meV/atom) = 15
# - corrected total energy (MP2020 scheme) (eV/atom) = -7.302
# - raw total energy (eV per cell) = -168.42
# - formation energy (eV per atom) = -2.30
data_Li5Fe2P2C2O14
_chemical_formula_sum 'Li5 Fe2 P2 C2 O14'
_space_group_name_H-M_alt 'P 1 m 1'
_space_group_IT_number 6
_space_group_name_Hall 'P -2y'
_cell_length_a 5.0470
_cell_length_b 6.4964
_cell_length_c 8.4346
_cell_angle_alpha 90.00
_cell_angle_beta 94.78
_cell_angle_gamma 90.00
loop_
_atom_site_label
_atom_site_type_symbol
_atom_site_fract_x
_atom_site_fract_y
_atom_site_fract_z
Li1 Li 0.0000 0.0000 0.0000
Li2 Li 0.4894 0.2354 0.8310
Li3 Li 0.9862 0.2670 0.3495
Fe1 Fe 0.0247 0.5000 0.7535
Fe2 Fe 0.4477 0.0000 0.4271
P1 P 0.4988 0.5000 0.5076
P2 P 0.9495 0.0000 0.6751
C1 C 0.5374 0.0000 0.1268
C2 C 0.9506 0.5000 0.0437
O1 O 0.0490 0.0000 0.5081
O2 O 0.0584 0.1877 0.7778
O3 O 0.1860 0.5000 0.9907
O4 O 0.2941 0.0000 0.1634
O5 O 0.3970 0.5000 0.6798
O6 O 0.3986 0.3098 0.4151
O7 O 0.5973 0.0000 0.9804
O8 O 0.6410 0.0000 0.6642
O9 O 0.7280 0.0000 0.2409
O10 O 0.7541 0.5000 0.9270
O11 O 0.8135 0.5000 0.5374
O12 O 0.9075 0.5000 0.1889


# BaNdMnSnO6 | the Materials Project database | GGA+U | relaxed
# - corrected total energy (MP2020 scheme) (eV/atom) = -7.560
# - raw total energy (eV per cell) = -279.24
# - formation energy (eV per atom) = -2.61
data_BaNdMnSnO6
_chemical_formula_sum 'Ba4 Nd4 Mn4 Sn4 O24'
_space_group_name_H-M_alt 'F -4 3 m'
_space_group_IT_number 216
_space_group_name_Hall 'F -4 2 3'
_cell_length_a 8.1385
_cell_length_b 8.1385
_cell_length_c 8.1385
_cell_angle_alpha 90.00
_cell_angle_beta 90.00
_cell_angle_gamma 90.00
loop_
_atom_site_label
_atom_site_type_symbol
_atom_site_fract_x
_atom_site_fract_y
_atom_site_fract_z
Ba1 Ba 0.0000 0.0000 0.0000
Nd1 Nd 0.0000 0.0000 0.5000
Mn1 Mn 0.2500 0.2500 0.7500
Sn1 Sn 0.2500 0.2500 0.2500
O1 O 0.0028 0.2500 0.7500


# Ca4Mn3CrO10 | the Materials Project database | GGA+U | relaxed
# - relative energy among the computed polymorphs (meV/atom) = 68
# - corrected total energy (MP2020 scheme) (eV/atom) = -7.745
# - raw total energy (eV per cell) = -251.09
# - formation energy (eV per atom) = -2.49
data_Ca4Mn3CrO10
_chemical_formula_sum 'Ca8 Mn6 Cr2 O20'
_space_group_name_H-M_alt 'P 1'
_space_group_IT_number 1
_space_group_name_Hall 'P 1'
_cell_length_a 7.6095
_cell_length_b 7.8517
_cell_length_c 7.8677
_cell_angle_alpha 90.67
_cell_angle_beta 91.47
_cell_angle_gamma 91.52
loop_
_atom_site_label
_atom_site_type_symbol
_atom_site_fract_x
_atom_site_fract_y
_atom_site_fract_z
Ca1 Ca 0.0000 0.0000 0.0000
Ca2 Ca 0.9999 0.4686 0.9996
Ca3 Ca 0.0055 0.9913 0.4814
Ca4 Ca 0.5391 0.4711 0.4767
Ca5 Ca 0.5533 0.9997 0.4687
Ca6 Ca 0.5583 0.4574 0.0050
Ca7 Ca 0.5680 0.0166 0.0193
Ca8 Ca 0.9979 0.4816 0.4903
Mn1 Mn 0.2624 0.2254 0.7476
Mn2 Mn 0.2662 0.2400 0.2488
Mn3 Mn 0.7470 0.7406 0.7517
Mn4 Mn 0.7745 0.2457 0.7476
Mn5 Mn 0.7758 0.7395 0.2567
Mn6 Mn 0.7784 0.2413 0.2521
Cr1 Cr 0.2588 0.7356 0.2224
Cr2 Cr 0.2818 0.7569 0.7790
O1 O 0.0258 0.2913 0.7453
O2 O 0.0266 0.7365 0.3084
O3 O 0.2009 0.6945 0.9835
O4 O 0.2026 0.9574 0.7102
O5 O 0.2344 0.9927 0.2473
O6 O 0.2364 0.2412 0.0018
O7 O 0.2437 0.4869 0.2708
O8 O 0.2510 0.2503 0.4974
O9 O 0.4711 0.6680 0.6902
O10 O 0.5138 0.7541 0.2640
O11 O 0.5167 0.2482 0.7691
O12 O 0.5220 0.2321 0.2388
O13 O 0.7634 0.9891 0.7586
O14 O 0.7673 0.7460 0.0003
O15 O 0.7775 0.7477 0.5106
O16 O 0.7799 0.2393 0.4923
O17 O 0.7829 0.4822 0.2485
O18 O 0.7834 0.5000 0.7594
O19 O 0.7961 0.0005 0.2462
O20 O 0.7967 0.2366 0.0101


# Ti3NiSb2P6O24 | the Materials Project database | GGA+U | relaxed
# - corrected total energy (MP2020 scheme) (eV/atom) = -7.896
# - raw total energy (eV per cell) = -795.64
# - formation energy (eV per atom) = -2.65
data_Ti3NiSb2P6O24
_chemical_formula_sum 'Ti9 Ni3 Sb6 P18 O72'
_space_group_name_H-M_alt 'R 3'
_space_group_IT_number 146
_space_group_name_Hall 'R 3'
_cell_length_a 8.7194
_cell_length_b 8.7194
_cell_length_c 21.9227
_cell_angle_alpha 90.00
_cell_angle_beta 90.00
_cell_angle_gamma 120.00
loop_
_atom_site_label
_atom_site_type_symbol
_atom_site_fract_x
_atom_site_fract_y
_atom_site_fract_z
Ti1 Ti 0.0000 0.0000 0.0000
Ti2 Ti 0.0000 0.0000 0.2051
Ti3 Ti 0.0000 0.0000 0.5036
Ni1 Ni 0.0000 0.0000 0.7044
Sb1 Sb 0.0000 0.0000 0.3501
Sb2 Sb 0.0000 0.0000 0.8451
P1 P 0.0005 0.2906 0.6057
P2 P 0.0006 0.7095 0.1043
O1 O 0.0026 0.8079 0.0461
O2 O 0.0040 0.1969 0.5461
O3 O 0.0183 0.1827 0.2712
O4 O 0.0217 0.8345 0.7746
O5 O 0.1391 0.4617 0.3304
O6 O 0.1427 0.6689 0.8290
O7 O 0.1661 0.4804 0.6030
O8 O 0.1680 0.6886 0.1032


# Li9Mn2Co5O16 | the Materials Project database | GGA+U | relaxed
# - relative energy among the computed polymorphs (meV/atom) = 51
# - corrected total energy (MP2020 scheme) (eV/atom) = -6.508
# - raw total energy (eV per cell) = -371.46
# - formation energy (eV per atom) = -1.81
data_Li9Mn2Co5O16
_chemical_formula_sum 'Li18 Mn4 Co10 O32'
_space_group_name_H-M_alt 'C 1 m 1'
_space_group_IT_number 8
_space_group_name_Hall 'C -2y'
_cell_length_a 20.9102
_cell_length_b 2.8896
_cell_length_c 10.2619
_cell_angle_alpha 90.00
_cell_angle_beta 113.00
_cell_angle_gamma 90.00
loop_
_atom_site_label
_atom_site_type_symbol
_atom_site_fract_x
_atom_site_fract_y
_atom_site_fract_z
Li1 Li 0.0000 0.0000 0.0000
Li2 Li 0.9999 0.0000 0.4888
Li3 Li 0.0012 0.5000 0.2508
Li4 Li 0.1192 0.0000 0.4251
Li5 Li 0.2433 0.5000 0.6042
Li6 Li 0.2445 0.0000 0.3606
Li7 Li 0.2470 0.0000 0.8626
Li8 Li 0.2473 0.5000 0.1216
Li9 Li 0.4948 0.0000 0.7346
Mn1 Mn 0.1192 0.5000 0.6684
Mn2 Mn 0.3714 0.0000 0.8029
Co1 Co 0.1224 0.0000 0.9311
Co2 Co 0.1260 0.5000 0.1950
Co3 Co 0.3677 0.5000 0.5445
Co4 Co 0.3739 0.5000 0.0593
Co5 Co 0.3748 0.0000 0.3059
O1 O 0.0633 0.0000 0.2019
O2 O 0.0649 0.0000 0.7097
O3 O 0.0650 0.5000 0.4806
O4 O 0.0698 0.5000 0.9670
O5 O 0.1744 0.5000 0.8873
O6 O 0.1781 0.0000 0.6535
O7 O 0.1802 0.5000 0.3769
O8 O 0.1805 0.0000 0.1411
O9 O 0.3098 0.0000 0.5757
O10 O 0.3144 0.5000 0.3333
O11 O 0.3139 0.5000 0.8301
O12 O 0.3173 0.0000 0.0850
O13 O 0.4287 0.0000 0.0303
O14 O 0.4286 0.0000 0.5217
O15 O 0.4298 0.5000 0.7746
O16 O 0.4326 0.5000 0.2777


# ScVSe2O8 | the Materials Project database | GGA+U | relaxed
# - corrected total energy (MP2020 scheme) (eV/atom) = -7.298
# - raw total energy (eV per cell) = -321.53
# - formation energy (eV per atom) = -2.13
data_ScVSe2O8
_chemical_formula_sum 'Sc4 V4 Se8 O32'
_space_group_name_H-M_alt 'P 1 21/c 1'
_space_group_IT_number 14
_space_group_name_Hall '-P 2ybc'
_cell_length_a 9.1541
_cell_length_b 5.2097
_cell_length_c 15.2968
_cell_angle_alpha 90.00
_cell_angle_beta 110.40
_cell_angle_gamma 90.00
loop_
_atom_site_label
_atom_site_type_symbol
_atom_site_fract_x
_atom_site_fract_y
_atom_site_fract_z
Sc1 Sc 0.1938 0.1959 0.1109
V1 V 0.3700 0.6447 0.0158
Se1 Se 0.0583 0.1967 0.3703
Se2 Se 0.3945 0.7064 0.8046
O1 O 0.0051 0.5187 0.6002
O2 O 0.1078 0.5122 0.1647
O3 O 0.1592 0.0833 0.4849
O4 O 0.2953 0.7230 0.8831
O5 O 0.2984 0.6080 0.5598
O6 O 0.3198 0.0673 0.2462
O7 O 0.4155 0.0947 0.6265
O8 O 0.4399 0.2121 0.4598


# Li4Ni2P4H3O16 | the Materials Project database | GGA+U | relaxed
# - corrected total energy (MP2020 scheme) (eV/atom) = -6.721
# - raw total energy (eV per cell) = -178.83
# - formation energy (eV per atom) = -2.23
data_Li4Ni2P4H3O16
_chemical_formula_sum 'Li4 Ni2 P4 H3 O16'
_space_group_name_H-M_alt 'P 1'
_space_group_IT_number 1
_space_group_name_Hall 'P 1'
_cell_length_a 4.9759
_cell_length_b 7.5630
_cell_length_c 8.1730
_cell_angle_alpha 91.76
_cell_angle_beta 91.79
_cell_angle_gamma 101.35
loop_
_atom_site_label
_atom_site_type_symbol
_atom_site_fract_x
_atom_site_fract_y
_atom_site_fract_z
Li1 Li 0.0000 0.0000 0.0000
Li2 Li 0.2179 0.3203 0.7392
Li3 Li 0.4922 0.4719 0.2211
Li4 Li 0.7352 0.8445 0.5160
Ni1 Ni 0.1124 0.1595 0.3681
Ni2 Ni 0.6150 0.6541 0.8724
P1 P 0.2383 0.9129 0.7159
P2 P 0.5108 0.9124 0.2018
P3 P 0.7152 0.4042 0.5363
P4 P 0.9894 0.3949 0.0200
H1 H 0.0294 0.5927 0.4380
H2 H 0.1966 0.7211 0.2975
H3 H 0.5648 0.1359 0.8556
O1 O 0.0086 0.8191 0.8209
O2 O 0.0966 0.3606 0.1938
O3 O 0.1289 0.9592 0.5482
O4 O 0.2248 0.4979 0.9209
O5 O 0.2666 0.0060 0.1850
O6 O 0.3666 0.1016 0.8079
O7 O 0.3914 0.7210 0.2879
O8 O 0.4684 0.8031 0.6940
O9 O 0.4897 0.3133 0.4154
O10 O 0.5999 0.4562 0.6988
O11 O 0.6234 0.8598 0.0387
O12 O 0.7373 0.0029 0.3227
O13 O 0.7656 0.5136 0.0453
O14 O 0.8365 0.5962 0.4515
O15 O 0.8623 0.2153 0.9297
O16 O 0.9593 0.3108 0.5529


# Fe2OsC12O12 | the Materials Project database | GGA+U | relaxed
# - corrected total energy (MP2020 scheme) (eV/atom) = -8.064
# - raw total energy (eV per cell) = -819.94
# - formation energy (eV per atom) = -0.72
data_Fe2OsC12O12
_chemical_formula_sum 'Fe8 Os4 C48 O48'
_space_group_name_H-M_alt 'P 1 c 1'
_space_group_IT_number 7
_space_group_name_Hall 'P -2yc'
_cell_length_a 8.2520
_cell_length_b 22.3616
_cell_length_c 11.4689
_cell_angle_alpha 90.00
_cell_angle_beta 129.53
_cell_angle_gamma 90.00
loop_
_atom_site_label
_atom_site_type_symbol
_atom_site_fract_x
_atom_site_fract_y
_atom_site_fract_z
Fe1 Fe 0.0000 0.0973 0.0000
Fe2 Fe 0.5824 0.3584 0.2720
Fe3 Fe 0.6738 0.1352 0.9635
Fe4 Fe 0.9386 0.3745 0.3318
Os1 Os 0.6541 0.1347 0.7121
Os2 Os 0.9264 0.3880 0.5683
C1 C 0.0240 0.0327 0.9191
C2 C 0.0613 0.4469 0.3846
C3 C 0.1367 0.1483 0.9685
C4 C 0.1754 0.3338 0.4698
C5 C 0.2134 0.0797 0.1916
C6 C 0.2134 0.4058 0.7316
C7 C 0.3715 0.1583 0.5538
C8 C 0.3716 0.3380 0.0821
C9 C 0.4258 0.0971 0.8364
C10 C 0.4383 0.4139 0.2840
C11 C 0.5404 0.2987 0.3553
C12 C 0.5666 0.2092 0.9172
C13 C 0.5717 0.0504 0.6777
C14 C 0.6718 0.4238 0.2091
C15 C 0.6979 0.1261 0.1290
C16 C 0.7502 0.1300 0.5984
C17 C 0.7497 0.2174 0.7685
C18 C 0.7813 0.3006 0.2848
C19 C 0.8051 0.0513 0.0036
C20 C 0.8172 0.3927 0.6734
C21 C 0.8529 0.4718 0.5071
C22 C 0.9317 0.3614 0.1749
C23 C 0.9436 0.1736 0.0719
C24 C 0.9818 0.3022 0.6059
O1 O 0.0202 0.2518 0.6336
O2 O 0.0444 0.2160 0.1435
O3 O 0.0468 0.0104 0.3747
O4 O 0.1371 0.4941 0.4136
O5 O 0.1970 0.1709 0.4569
O6 O 0.2282 0.3247 0.9600
O7 O 0.2359 0.1801 0.9554
O8 O 0.2626 0.0737 0.7599
O9 O 0.3334 0.3088 0.5564
O10 O 0.3327 0.4490 0.2822
O11 O 0.3528 0.0686 0.3165
O12 O 0.3898 0.4152 0.8305
O13 O 0.5009 0.2575 0.8931
O14 O 0.5043 0.2596 0.4024
O15 O 0.5155 0.0011 0.6505
O16 O 0.6104 0.4687 0.1384
O17 O 0.7075 0.1191 0.2330
O18 O 0.7511 0.3965 0.7371
O19 O 0.7664 0.0030 0.0217
O20 O 0.7861 0.2487 0.2674
O21 O 0.8037 0.2668 0.7962
O22 O 0.8101 0.1299 0.5304
O23 O 0.8128 0.4781 0.9760
O24 O 0.9338 0.3518 0.0768